[1]
Material: Mn9Zn6Si4Sb2O28
Method: DFT, PBE with a Hubbard U
State: relaxed

```
Mn9Zn6Si4Sb2O28
1.0
5.6043 0.0000 0.0000
1.7594 9.1545 0.0000
2.7915 0.1306 11.4965
Mn Zn Si Sb O
9 6 4 2 28
Direct
0.0000 0.0000 0.0000 Mn
0.0779 0.3584 0.2834 Mn
0.2795 0.0017 0.4251 Mn
0.3633 0.3491 0.7081 Mn
0.4264 0.0055 0.1440 Mn
0.5736 0.9945 0.8560 Mn
0.6367 0.6509 0.2919 Mn
0.7205 0.9983 0.5749 Mn
0.9221 0.6416 0.7166 Mn
0.0523 0.6738 0.4274 Zn
0.2031 0.6646 0.1384 Zn
0.3412 0.6603 0.8621 Zn
0.6588 0.3397 0.1379 Zn
0.7969 0.3354 0.8616 Zn
0.9477 0.3262 0.5726 Zn
0.2425 0.3079 0.9966 Si
0.4787 0.6871 0.5765 Si
0.5213 0.3129 0.4235 Si
0.7575 0.6921 0.0034 Si
0.1386 0.9986 0.7198 Sb
0.8614 0.0014 0.2802 Sb
0.0183 0.5922 0.2851 O
0.0309 0.1059 0.5825 O
0.0600 0.6451 0.9994 O
0.1165 0.1243 0.2859 O
0.1184 0.8859 0.1539 O
0.2197 0.3590 0.4360 O
0.2685 0.8821 0.8477 O
0.3091 0.1275 0.9954 O
0.3113 0.3672 0.1125 O
0.3307 0.6109 0.6966 O
0.3909 0.6508 0.4602 O
0.4071 0.8706 0.5889 O
0.4137 0.1125 0.7090 O
0.4183 0.3739 0.8786 O
0.5817 0.6261 0.1214 O
0.5863 0.8875 0.2910 O
0.5929 0.1294 0.4111 O
0.6091 0.3492 0.5398 O
0.6693 0.3891 0.3034 O
0.6887 0.6328 0.8875 O
0.6909 0.8725 0.0046 O
0.7315 0.1179 0.1523 O
0.7803 0.6410 0.5640 O
0.8816 0.1141 0.8461 O
0.8835 0.8757 0.7141 O
0.9400 0.3549 0.0006 O
0.9691 0.8941 0.4175 O
0.9817 0.4078 0.7149 O
```

Summary:
- total energy (eV/atom) = -6.87
- crystal system = triclinic
- SG = P-1, No. 2

***

[2]
Material: SmMnSbO
Method: DFT, PBE with a Hubbard U
State: relaxed

```
SmMnSbO
1.0
4.2094 0.0000 0.0000
0.0000 4.2094 0.0000
0.0000 0.0000 9.6670
Sm Mn Sb O
2 2 2 2
Direct
0.2500 0.2500 0.1097 Sm
0.7500 0.7500 0.8903 Sm
0.2500 0.7500 0.5000 Mn
0.7500 0.2500 0.5000 Mn
0.2500 0.2500 0.6940 Sb
0.7500 0.7500 0.3060 Sb
0.2500 0.7500 0.0000 O
0.7500 0.2500 0.0000 O
```

Summary:
- size of the total moment (μB/f.u.) = 4.761
- total energy (eV/atom) = -6.89
- crystal system = tetragonal
- SG = P4/nmm, No. 129

***

[3]
Material: Tb2MnSbO7
Method: DFT, PBE with a Hubbard U
State: relaxed

```
Tb2MnSbO7
1.0
-3.5741 3.7430 5.1988
3.5741 -3.7430 5.1988
3.5741 3.7430 -5.1988
Tb Mn Sb O
4 2 2 14
Direct
0.0000 0.0000 0.0000 Tb
0.5000 0.0000 0.0000 Tb
0.5000 0.0000 0.5000 Tb
0.5000 0.5000 0.5000 Tb
0.0000 0.0000 0.5000 Mn
0.0000 0.5000 0.0000 Mn
0.0000 0.5000 0.5000 Sb
0.5000 0.5000 0.0000 Sb
0.0813 0.8313 0.2500 O
0.0934 0.4183 0.2603 O
0.0934 0.8331 0.6751 O
0.3279 0.5779 0.7500 O
0.3419 0.1669 0.7603 O
0.3419 0.5817 0.1751 O
0.3730 0.1230 0.2500 O
0.6270 0.8770 0.7500 O
0.6581 0.4183 0.8249 O
0.6581 0.8331 0.2397 O
0.6721 0.4221 0.2500 O
0.9066 0.1669 0.3249 O
0.9066 0.5817 0.7397 O
0.9187 0.1687 0.7500 O
```

Summary:
- size of the total moment (μB/f.u.) = 4.005
- total energy (eV/atom) = -7.56
- crystal system = orthorhombic
- SG = Imma, No. 74

***

[4]
Material: Tm2Mn3Sb3O14
Method: DFT, PBE with a Hubbard U
State: relaxed

```
Tm2Mn3Sb3O14
1.0
6.1436 -3.6617 0.0000
6.1436 3.6617 0.0000
-4.0329 0.0000 6.0342
Tm Mn Sb O
2 3 3 14
Direct
0.0000 0.5000 0.0000 Tm
0.5000 0.0000 0.0000 Tm
0.0000 0.0000 0.0000 Mn
0.0000 0.0000 0.5000 Mn
0.5000 0.5000 0.5000 Mn
0.0000 0.5000 0.5000 Sb
0.5000 0.0000 0.5000 Sb
0.5000 0.5000 0.0000 Sb
0.1210 0.1210 0.8748 O
0.1699 0.1699 0.4287 O
0.1699 0.5797 0.8255 O
0.1719 0.5709 0.4081 O
0.4056 0.4056 0.1444 O
0.4203 0.8301 0.1745 O
0.4291 0.8281 0.5919 O
0.5709 0.1719 0.4081 O
0.5797 0.1699 0.8255 O
0.5944 0.5944 0.8556 O
0.8281 0.4291 0.5919 O
0.8301 0.4203 0.1745 O
0.8301 0.8301 0.5713 O
0.8790 0.8790 0.1252 O
```

Summary:
- size of the total moment (μB/f.u.) = 14.000
- total energy (eV/atom) = -7.19
- crystal system = monoclinic
- SG = C2/m, No. 12

***

[5]
Material: MnVSbO6
Method: DFT, PBE with a Hubbard U
State: relaxed

```
MnVSbO6
1.0
4.7361 0.0000 0.0000
0.0000 17.4561 0.0000
0.0000 0.0000 5.0338
Mn V Sb O
4 4 4 24
Direct
0.0000 0.0584 0.2500 Mn
0.0000 0.9416 0.7500 Mn
0.5000 0.4416 0.7500 Mn
0.5000 0.5584 0.2500 Mn
0.0000 0.3974 0.2500 V
0.0000 0.6026 0.7500 V
0.5000 0.1026 0.7500 V
0.5000 0.8974 0.2500 V
0.0000 0.2810 0.7500 Sb
0.0000 0.7190 0.2500 Sb
0.5000 0.2190 0.2500 Sb
0.5000 0.7810 0.7500 Sb
0.2037 0.3664 0.5577 O
0.2037 0.6336 0.0577 O
0.2442 0.2953 0.0756 O
0.2442 0.7047 0.5756 O
0.2493 0.0432 0.6122 O
0.2493 0.9568 0.1122 O
0.2507 0.4568 0.1122 O
0.2507 0.5432 0.6122 O
0.2558 0.2047 0.5756 O
0.2558 0.7953 0.0756 O
0.2963 0.1336 0.0577 O
0.2963 0.8664 0.5577 O
0.7037 0.1336 0.4423 O
0.7037 0.8664 0.9423 O
0.7442 0.2047 0.9244 O
0.7442 0.7953 0.4244 O
0.7493 0.4568 0.3878 O
0.7493 0.5432 0.8878 O
0.7507 0.0432 0.8878 O
0.7507 0.9568 0.3878 O
0.7558 0.2953 0.4244 O
0.7558 0.7047 0.9244 O
0.7963 0.3664 0.9423 O
0.7963 0.6336 0.4423 O
```

Summary:
- size of the total moment (μB/f.u.) = 5.000
- total energy (eV/atom) = -7.10
- crystal system = orthorhombic
- SG = Pbcn, No. 60

***

[6]
Material: MnZn2SbO6
Method: DFT, PBE with a Hubbard U
State: relaxed

```
MnZn2SbO6
1.0
-0.8646 -4.9336 -1.9293
0.3152 -3.2373 10.1322
-7.5668 1.0970 0.5858
Mn Zn Sb O
4 8 4 24
Direct
0.5000 0.5000 0.5000 Mn
0.5001 0.5000 0.0000 Mn
0.4998 0.0000 0.5000 Mn
0.4999 0.9999 0.0002 Mn
0.5214 0.2765 0.7500 Zn
0.5214 0.7765 0.7500 Zn
0.4787 0.2236 0.2500 Zn
0.4786 0.7235 0.2500 Zn
0.0410 0.0070 0.7500 Zn
0.0409 0.5070 0.7500 Zn
0.9590 0.4930 0.2500 Zn
0.9590 0.9930 0.2500 Zn
0.0001 0.2500 0.5000 Sb
0.0000 0.7500 0.5000 Sb
0.0000 0.2500 0.0000 Sb
0.0000 0.7500 0.0000 Sb
0.8713 0.2947 0.2500 O
0.8713 0.7947 0.2500 O
0.1287 0.2053 0.7500 O
0.1287 0.7053 0.7500 O
0.3991 0.4592 0.7500 O
0.3991 0.9592 0.7500 O
0.6009 0.0408 0.2500 O
0.6009 0.5408 0.2500 O
0.3304 0.3388 0.4366 O
0.3303 0.8387 0.4366 O
0.6696 0.1613 0.9367 O
0.6696 0.6612 0.9366 O
0.3303 0.3387 0.0634 O
0.3303 0.8387 0.0634 O
0.6697 0.1613 0.5634 O
0.6697 0.6613 0.5633 O
0.1556 0.0961 0.0706 O
0.1556 0.5961 0.0706 O
0.8444 0.4039 0.5706 O
0.8444 0.9039 0.5706 O
0.1556 0.0961 0.4294 O
0.1556 0.5961 0.4294 O
0.8444 0.4039 0.9294 O
0.8444 0.9039 0.9294 O
```

Summary:
- size of the total moment (μB/f.u.) = 0.000
- total energy (eV/atom) = -5.79

***

[7]
Material: ScMnO3
Method: DFT, PBE with a Hubbard U
State: relaxed

```
ScMnO3
1.0
5.9405 0.0000 0.0000
-2.9702 5.1446 0.0000
0.0000 0.0000 11.2935
Sc Mn O
6 6 18
Direct
0.0000 0.0000 0.0000 Sc
0.0000 0.0000 0.5000 Sc
0.3333 0.6667 0.4559 Sc
0.3333 0.6667 0.9559 Sc
0.6667 0.3333 0.4559 Sc
0.6667 0.3333 0.9559 Sc
0.0000 0.3329 0.2258 Mn
0.0000 0.6671 0.7258 Mn
0.3329 0.0000 0.2258 Mn
0.3329 0.3329 0.7258 Mn
0.6671 0.0000 0.7258 Mn
0.6671 0.6671 0.2258 Mn
0.0000 0.0000 0.1924 O
0.0000 0.0000 0.6924 O
0.0000 0.3024 0.3952 O
0.0000 0.3659 0.0574 O
0.0000 0.6341 0.5574 O
0.0000 0.6976 0.8952 O
0.3024 0.0000 0.3952 O
0.3024 0.3024 0.8952 O
0.3333 0.6667 0.2538 O
0.3333 0.6667 0.7538 O
0.3659 0.0000 0.0574 O
0.3659 0.3659 0.5574 O
0.6341 0.0000 0.5574 O
0.6341 0.6341 0.0574 O
0.6667 0.3333 0.2538 O
0.6667 0.3333 0.7538 O
0.6976 0.0000 0.8952 O
0.6976 0.6976 0.3952 O
```

Summary:
- total energy (eV/atom) = -8.31
- crystal system = hexagonal
- SG = P6_3cm, No. 185

***

[8]
Material: ScMnO3
Method: DFT, PBE with a Hubbard U
State: relaxed

```
ScMnO3
1.0
5.1167 0.0000 0.0000
0.0000 5.4225 0.0000
-4.5435 0.0000 7.8836
Sc Mn O
4 4 12
Direct
0.2056 0.0706 0.2304 Sc
0.2056 0.4294 0.7304 Sc
0.7944 0.5706 0.2696 Sc
0.7944 0.9294 0.7696 Sc
0.0000 0.0000 0.5000 Mn
0.0000 0.5000 0.0000 Mn
0.5000 0.0000 0.0000 Mn
0.5000 0.5000 0.5000 Mn
0.1283 0.1874 0.9471 O
0.1283 0.3126 0.4471 O
0.1953 0.6813 0.9002 O
0.1953 0.8187 0.4002 O
0.4252 0.0776 0.7731 O
0.4252 0.4224 0.2731 O
0.5748 0.5776 0.7269 O
0.5748 0.9224 0.2269 O
0.8047 0.1813 0.5998 O
0.8047 0.3187 0.0998 O
0.8717 0.6874 0.5529 O
0.8717 0.8126 0.0529 O
```

Summary:
- size of the total moment (μB/f.u.) = 4.000
- total energy (eV/atom) = -8.26
- crystal system = monoclinic
- SG = P2_1/c, No. 14